A relaxed MnH2O2 crystal. Source: Materials Project, functional PBE with a Hubbard U.

Structure (POSCAR):
```
MnH2O2
1.0
3.344 -0.052 4.822
-3.354 5.841 -0.013
-5.071 -2.900 0.054
O Mn H
8 4 8
Cartesian
-4.889 -1.170 1.014
-6.565 1.751 1.011
1.813 0.685 3.641
-1.515 -1.181 0.992
-1.564 0.696 3.661
-3.191 1.740 0.985
0.136 3.605 3.632
-3.242 3.615 3.656
-3.243 -0.259 4.762
0.132 -0.272 4.738
-1.545 2.648 4.732
-4.920 2.660 4.756
-3.224 3.640 2.683
-1.478 4.670 1.931
-1.547 0.719 2.687
0.199 1.749 1.935
-1.493 -1.171 1.966
-4.924 0.739 2.713
-3.170 1.753 1.960
-3.248 -2.179 2.722
```

Computed properties:
As for the formation energy: -7.791 eV/f.u. Its MP2020-corrected energy is -6.73 eV/atom.